# 1
Entry from Materials Project: crystalline CaTmIn2 at its relaxed geometry (PBE). Values from VASP.

Results
The value obtained for the formation energy is -417.6 meV per atom.

```
&SYSTEM
  ibrav = 0, nat = 4, ntyp = 3
/
ATOMIC_SPECIES
Ca 40.08 Ca.upf
Tm 168.93 Tm.upf
In 114.82 In.upf
ATOMIC_POSITIONS angstrom
Ca 0.000 0.000 0.000
Tm 3.794 3.794 3.794
In 1.897 1.897 1.897
In 5.690 5.690 5.690
CELL_PARAMETERS angstrom
0.000 3.794 3.794
3.794 0.000 3.794
3.794 3.794 0.000
```

---

# 2
Entry from Materials Project: crystalline Ca2ZnIn at its relaxed geometry (PBE). Values from VASP.

Results
The value obtained for the formation energy is -357.8 meV per atom.

```
&SYSTEM
  ibrav = 0, nat = 4, ntyp = 3
/
ATOMIC_SPECIES
Ca 40.08 Ca.upf
Zn 65.41 Zn.upf
In 114.82 In.upf
ATOMIC_POSITIONS angstrom
Ca 1.892 1.892 1.892
Ca 5.676 5.676 5.676
Zn 0.000 0.000 0.000
In 3.784 3.784 3.784
CELL_PARAMETERS angstrom
0.000 3.784 3.784
3.784 0.000 3.784
3.784 3.784 0.000
```

---

# 3
Entry from Materials Project: crystalline LiCa2Ir at its relaxed geometry (PBE). Values from VASP.

Results
The value obtained for the formation energy is -232.9 meV per atom.

```
&SYSTEM
  ibrav = 0, nat = 4, ntyp = 3
/
ATOMIC_SPECIES
Li 6.94 Li.upf
Ca 40.08 Ca.upf
Ir 192.22 Ir.upf
ATOMIC_POSITIONS angstrom
Li 0.000 0.000 0.000
Ca 1.770 1.770 1.770
Ca 5.309 5.309 5.309
Ir 3.539 3.539 3.539
CELL_PARAMETERS angstrom
0.000 3.539 3.539
3.539 0.000 3.539
3.539 3.539 0.000
```

---

# 4
Entry from Materials Project: crystalline Ca3Ir3N5 at its relaxed geometry (PBE). Values from VASP.

Results
The value obtained for the formation energy is -345.5 meV per atom. Its MP2020-corrected energy is -0.2606 Ha/atom.

```
&SYSTEM
  ibrav = 0, nat = 22, ntyp = 3
/
ATOMIC_SPECIES
Ca 40.08 Ca.upf
Ir 192.22 Ir.upf
N 14.01 N.upf
ATOMIC_POSITIONS angstrom
Ca 1.385 1.502 2.193
Ca 3.106 3.293 4.945
Ca 6.468 7.177 6.749
Ca 4.269 1.109 0.839
Ca 7.631 4.992 2.643
Ca 9.351 6.783 5.394
Ir 4.615 4.942 7.256
Ir 5.281 6.507 4.019
Ir 4.347 4.804 1.996
Ir 6.389 3.482 5.592
Ir 5.455 1.778 3.568
Ir 6.122 3.344 0.332
N 3.369 5.849 3.297
N 2.715 4.251 1.071
N 4.755 2.975 6.857
N 3.513 1.713 3.034
N 4.961 4.904 5.276
N 5.776 3.381 2.311
N 7.223 6.572 4.554
N 5.982 5.310 0.731
N 8.022 4.034 6.517
N 7.368 2.436 4.290
CELL_PARAMETERS angstrom
6.679 0.000 0.000
1.557 6.540 0.000
2.501 1.745 7.588
```

---

# 5
Entry from Materials Project: crystalline Ca3Ir2N4 at its relaxed geometry (PBE). Values from VASP.

Results
The value obtained for the relative energy among the computed polymorphs is 12 meV/atom. The value obtained for the formation energy is -452.0 meV per atom. The total magnetization comes out at 0.0 μB per formula unit. Its MP2020-corrected energy is -0.2495 Ha/atom.

```
&SYSTEM
  ibrav = 0, nat = 18, ntyp = 3
/
ATOMIC_SPECIES
Ca 40.08 Ca.upf
Ir 192.22 Ir.upf
N 14.01 N.upf
ATOMIC_POSITIONS angstrom
Ca 5.316 3.716 4.005
Ca 4.064 1.449 2.385
Ca 6.704 1.449 0.285
Ca 3.996 -1.449 5.055
Ca 6.637 -1.449 2.954
Ca 5.384 -3.716 1.335
Ir 2.436 1.031 4.888
Ir 2.504 -1.031 2.218
Ir 8.197 1.031 3.122
Ir 8.264 -1.031 0.452
N 1.654 0.655 3.022
N 4.198 1.674 5.182
N 1.721 -0.655 0.353
N 6.435 1.674 2.827
N 4.266 -1.674 2.513
N 8.979 0.655 4.987
N 6.503 -1.674 0.157
N 9.047 -0.655 2.317
CELL_PARAMETERS angstrom
5.418 -4.546 0.000
5.418 4.546 0.000
-0.136 0.000 5.339
```

---

# 6
Entry from Materials Project: crystalline Ca3Ir2N4 at its relaxed geometry (PBE). Values from VASP.

Results
The value obtained for the relative energy among the computed polymorphs is 0 meV/atom. The value obtained for the formation energy is -464.2 meV per atom. The total magnetization comes out at 0.0 μB per formula unit. Its MP2020-corrected energy is -0.2500 Ha/atom.

```
&SYSTEM
  ibrav = 0, nat = 36, ntyp = 3
/
ATOMIC_SPECIES
Ca 40.08 Ca.upf
Ir 192.22 Ir.upf
N 14.01 N.upf
ATOMIC_POSITIONS angstrom
Ca 0.772 1.525 0.646
Ca 0.772 3.165 4.089
Ca 1.514 0.000 3.671
Ca 1.514 4.690 1.064
Ca 2.256 6.216 4.089
Ca 2.256 7.855 0.646
Ca 3.799 1.525 8.824
Ca 3.799 3.165 5.381
Ca 4.541 0.000 5.799
Ca 4.541 4.690 8.406
Ca 5.283 6.216 5.381
Ca 5.283 7.855 8.824
Ir 0.378 2.345 7.103
Ir 1.514 0.000 6.714
Ir 1.514 4.690 7.491
Ir 2.649 7.035 7.103
Ir 3.405 2.345 2.368
Ir 4.541 0.000 2.756
Ir 4.541 4.690 1.979
Ir 5.677 7.035 2.368
N 0.055 5.323 3.232
N 0.055 8.748 1.503
N 0.599 5.986 8.539
N 0.599 8.084 5.666
N 2.428 1.296 5.666
N 2.428 3.394 8.539
N 2.972 0.633 1.503
N 2.972 4.057 3.232
N 3.082 5.323 6.239
N 3.082 8.748 7.967
N 3.627 5.986 0.931
N 3.627 8.084 3.804
N 5.455 1.296 3.804
N 5.455 3.394 0.931
N 6.000 0.633 7.967
N 6.000 4.057 6.239
CELL_PARAMETERS angstrom
6.055 0.000 0.000
0.000 9.380 0.000
0.000 0.000 9.470
```

---

# 7
Entry from Materials Project: crystalline Ca7IrN6 at its relaxed geometry (PBE). Values from VASP.

Results
The value obtained for the formation energy is -782.4 meV per atom. The total magnetization comes out at 0.9 μB per formula unit. Its MP2020-corrected energy is -0.2201 Ha/atom.

```
&SYSTEM
  ibrav = 0, nat = 28, ntyp = 3
/
ATOMIC_SPECIES
Ca 40.08 Ca.upf
Ir 192.22 Ir.upf
N 14.01 N.upf
ATOMIC_POSITIONS angstrom
Ca 1.429 0.539 0.000
Ca 4.007 2.590 -1.593
Ca 4.007 -2.590 4.523
Ca 0.000 0.000 3.058
Ca 4.007 2.590 1.593
Ca 0.822 3.296 1.593
Ca 1.429 -0.539 6.116
Ca 1.756 6.425 0.000
Ca 2.363 2.590 4.523
Ca -0.822 3.296 4.523
Ca 0.000 0.000 9.174
Ca -0.822 8.476 1.593
Ca -0.822 3.296 7.709
Ca 1.756 5.347 6.116
Ir 3.185 0.000 3.058
Ir 0.000 5.886 3.058
N 4.450 -1.394 2.396
N 2.508 -4.134 6.116
N 1.921 -1.394 3.720
N 1.921 1.394 2.396
N 2.508 4.134 0.000
N 1.264 7.280 -2.396
N 1.921 -1.394 8.512
N 0.678 1.752 6.116
N 1.264 4.492 3.720
N 1.264 7.280 2.396
N 0.678 10.020 0.000
N -1.264 7.280 3.720
CELL_PARAMETERS angstrom
-3.185 5.886 6.116
3.185 -5.886 6.116
3.185 5.886 -6.116
```

---

# 8
Entry from Materials Project: crystalline CaIrN2 at its relaxed geometry (PBE). Values from VASP.

Results
The value obtained for the relative energy among the computed polymorphs is 151 meV/atom. The value obtained for the formation energy is -250.8 meV per atom. The total magnetization comes out at 0.0 μB per formula unit. Its MP2020-corrected energy is -0.2620 Ha/atom.

```
&SYSTEM
  ibrav = 0, nat = 64, ntyp = 3
/
ATOMIC_SPECIES
Ca 40.08 Ca.upf
Ir 192.22 Ir.upf
N 14.01 N.upf
ATOMIC_POSITIONS angstrom
Ca 1.202 0.362 0.970
Ca 1.202 4.870 9.291
Ca 1.269 2.314 11.448
Ca 1.269 2.919 3.126
Ca 1.341 7.546 11.448
Ca 1.341 8.151 3.126
Ca 1.408 5.595 0.970
Ca 1.408 10.103 9.291
Ca 3.813 0.362 7.352
Ca 3.813 4.870 15.674
Ca 3.879 2.314 13.517
Ca 3.879 2.919 5.196
Ca 3.952 7.546 13.517
Ca 3.952 8.151 5.196
Ca 4.018 5.595 7.352
Ca 4.018 10.103 15.674
Ir 0.852 5.246 13.445
Ir 0.852 10.452 5.124
Ir 0.951 2.363 7.124
Ir 0.951 2.870 15.446
Ir 1.660 7.595 7.124
Ir 1.660 8.103 15.446
Ir 1.758 0.014 13.445
Ir 1.758 5.219 5.124
Ir 3.463 5.246 11.520
Ir 3.463 10.452 3.198
Ir 3.561 2.363 1.198
Ir 3.561 2.870 9.520
Ir 4.270 7.595 1.198
Ir 4.270 8.103 9.520
Ir 4.368 0.014 11.520
Ir 4.368 5.219 3.198
N 0.869 7.632 9.046
N 0.869 8.066 0.724
N 1.082 7.191 13.867
N 1.082 8.507 5.545
N 1.093 5.690 3.348
N 1.093 10.007 11.670
N 1.270 5.689 7.008
N 1.270 10.009 15.330
N 1.340 0.457 7.008
N 1.340 4.776 15.330
N 1.518 0.458 3.348
N 1.518 4.775 11.670
N 1.528 1.958 13.867
N 1.528 3.274 5.545
N 1.741 2.399 9.046
N 1.741 2.834 0.724
N 3.479 7.632 15.919
N 3.479 8.066 7.598
N 3.693 7.191 11.098
N 3.693 8.507 2.777
N 3.703 5.690 4.974
N 3.703 10.007 13.295
N 3.881 5.689 1.314
N 3.881 10.009 9.636
N 3.950 0.457 1.314
N 3.950 4.776 9.636
N 4.128 0.458 4.974
N 4.128 4.775 13.295
N 4.138 1.958 11.098
N 4.138 3.274 2.777
N 4.352 2.399 15.919
N 4.352 2.834 7.598
CELL_PARAMETERS angstrom
5.221 0.000 0.000
0.000 10.465 0.000
0.000 0.000 16.643
```

---

# 9
Entry from Materials Project: crystalline Ca2IrN3 at its relaxed geometry (PBE). Values from VASP.

Results
The value obtained for the formation energy is -449.3 meV per atom. The total magnetization comes out at 0.0 μB per formula unit. Its MP2020-corrected energy is -0.2484 Ha/atom.

```
&SYSTEM
  ibrav = 0, nat = 24, ntyp = 3
/
ATOMIC_SPECIES
Ca 40.08 Ca.upf
Ir 192.22 Ir.upf
N 14.01 N.upf
ATOMIC_POSITIONS angstrom
Ca 2.799 4.915 10.148
Ca 2.799 3.983 5.057
Ca 2.799 1.456 11.021
Ca 2.799 0.524 4.184
Ca 2.799 -0.524 7.745
Ca 2.799 -1.456 0.908
Ca 2.799 -3.983 6.872
Ca 2.799 -4.915 1.781
Ir 2.799 2.733 7.769
Ir 2.799 2.706 1.805
Ir 2.799 -2.706 10.124
Ir 2.799 -2.733 4.160
N 1.400 2.216 8.947
N 2.799 4.715 7.655
N 2.799 3.753 0.256
N 2.799 1.686 6.221
N 2.799 0.724 1.691
N 1.400 -2.216 2.982
N 4.199 2.216 8.947
N 2.799 -0.724 10.238
N 2.799 -1.686 5.708
N 2.799 -3.753 11.672
N 2.799 -4.715 4.273
N 4.199 -2.216 2.982
CELL_PARAMETERS angstrom
2.799 -5.439 0.000
2.799 5.439 0.000
0.000 0.000 11.929
```

---

# 10
Entry from Materials Project: crystalline Ca11Ir2N10 at its relaxed geometry (PBE). Values from VASP.

Results
The value obtained for the formation energy is -599.5 meV per atom. The total magnetization comes out at 1.3 μB per formula unit. Its MP2020-corrected energy is -0.2187 Ha/atom.

```
&SYSTEM
  ibrav = 0, nat = 46, ntyp = 3
/
ATOMIC_SPECIES
Ca 40.08 Ca.upf
Ir 192.22 Ir.upf
N 14.01 N.upf
ATOMIC_POSITIONS angstrom
Ca 0.000 0.000 0.000
Ca 0.375 3.212 1.860
Ca 1.612 9.140 1.860
Ca 1.675 5.853 0.000
Ca 2.982 11.949 0.000
Ca 3.212 0.375 1.860
Ca 4.253 7.840 0.000
Ca 4.484 4.484 1.860
Ca 5.790 13.319 1.860
Ca 5.853 1.675 0.000
Ca 7.091 10.677 0.000
Ca 7.465 7.465 1.860
Ca 7.840 4.253 0.000
Ca 9.077 13.256 0.000
Ca 9.140 1.612 1.860
Ca 10.447 10.447 1.860
Ca 10.677 7.091 0.000
Ca 11.719 14.556 1.860
Ca 11.949 2.982 0.000
Ca 13.256 9.077 0.000
Ca 13.319 5.790 1.860
Ca 14.556 11.719 1.860
Ir 2.921 2.921 0.000
Ir 4.545 10.386 1.860
Ir 10.386 4.545 1.860
Ir 12.010 12.010 0.000
N 0.505 10.244 0.000
N 1.102 13.829 1.860
N 1.635 1.635 0.000
N 1.987 12.944 1.860
N 2.779 6.960 1.860
N 4.687 14.426 0.000
N 5.479 5.479 0.000
N 5.830 9.101 1.860
N 6.363 6.363 0.000
N 6.960 2.779 1.860
N 7.970 12.152 1.860
N 8.567 8.567 0.000
N 9.101 5.830 1.860
N 9.452 9.452 0.000
N 10.244 0.505 0.000
N 12.152 7.970 1.860
N 12.944 1.987 1.860
N 13.296 13.296 0.000
N 13.829 1.102 1.860
N 14.426 4.687 0.000
CELL_PARAMETERS angstrom
14.931 0.000 0.000
0.000 14.931 0.000
0.000 0.000 3.720
```

---

# 11
Entry from Materials Project: crystalline Ca4IrN4 at its relaxed geometry (PBE). Values from VASP.

Results
The value obtained for the relative energy among the computed polymorphs is 187 meV/atom. The value obtained for the formation energy is -529.7 meV per atom. The total magnetization comes out at 0.0 μB per formula unit. Its MP2020-corrected energy is -0.2245 Ha/atom.

```
&SYSTEM
  ibrav = 0, nat = 36, ntyp = 3
/
ATOMIC_SPECIES
Ca 40.08 Ca.upf
Ir 192.22 Ir.upf
N 14.01 N.upf
ATOMIC_POSITIONS angstrom
Ca 0.437 0.871 1.634
Ca 0.916 2.612 5.425
Ca 1.911 0.871 8.327
Ca 2.290 2.612 11.649
Ca 3.313 0.871 3.734
Ca 3.692 2.612 0.412
Ca 4.686 0.871 13.341
Ca 5.166 2.612 9.549
Ca 6.039 0.871 6.281
Ca 6.519 2.612 2.490
Ca 7.514 0.871 15.418
Ca 7.893 2.612 12.096
Ca 8.916 0.871 4.181
Ca 9.294 2.612 7.503
Ca 10.289 0.871 10.405
Ca 10.769 2.612 14.196
Ir 2.004 0.871 14.276
Ir 3.598 2.612 6.361
Ir 7.607 0.871 9.469
Ir 9.201 2.612 1.554
N 0.035 0.871 6.850
N 0.824 2.612 9.921
N 1.527 2.612 3.274
N 2.204 2.612 2.171
N 3.399 0.871 10.086
N 4.076 0.871 11.189
N 4.779 0.871 2.006
N 5.568 2.612 14.765
N 5.637 0.871 1.065
N 6.427 2.612 13.824
N 7.130 2.612 4.641
N 7.807 2.612 5.744
N 9.001 0.871 13.659
N 9.678 0.871 12.556
N 10.382 0.871 5.909
N 11.171 2.612 8.980
CELL_PARAMETERS angstrom
11.206 0.000 0.000
0.000 3.483 0.000
0.000 0.000 15.830
```

---

# 12
Entry from Materials Project: crystalline Ca4IrN4 at its relaxed geometry (PBE). Values from VASP.

Results
The value obtained for the relative energy among the computed polymorphs is 0 meV/atom. The value obtained for the formation energy is -716.6 meV per atom. The total magnetization comes out at 0.0 μB per formula unit. Its MP2020-corrected energy is -0.2313 Ha/atom.

```
&SYSTEM
  ibrav = 0, nat = 18, ntyp = 3
/
ATOMIC_SPECIES
Ca 40.08 Ca.upf
Ir 192.22 Ir.upf
N 14.01 N.upf
ATOMIC_POSITIONS angstrom
Ca 1.878 1.043 3.420
Ca 1.711 1.283 0.105
Ca 3.411 4.050 1.195
Ca 4.724 1.223 4.932
Ca 5.887 3.848 3.021
Ca 7.200 1.021 6.758
Ca 8.900 3.788 7.848
Ca 8.733 4.028 4.533
Ir 5.895 4.030 6.047
Ir 4.717 1.041 1.905
N 2.759 -0.298 5.420
N 4.937 2.568 6.996
N 3.722 2.522 2.984
N 3.014 -0.099 1.671
N 7.598 5.170 6.281
N 6.889 2.549 4.969
N 5.674 2.503 0.957
N 7.852 5.369 2.533
CELL_PARAMETERS angstrom
5.990 0.000 0.000
2.070 5.794 0.000
2.551 -0.723 7.953
```

---

# 13
Entry from Materials Project: crystalline CaIrN2 at its relaxed geometry (PBE). Values from VASP.

Results
The value obtained for the relative energy among the computed polymorphs is 0 meV/atom. The value obtained for the formation energy is -401.4 meV per atom. The total magnetization comes out at 0.0 μB per formula unit. Its MP2020-corrected energy is -0.2676 Ha/atom.

```
&SYSTEM
  ibrav = 0, nat = 4, ntyp = 3
/
ATOMIC_SPECIES
Ca 40.08 Ca.upf
Ir 192.22 Ir.upf
N 14.01 N.upf
ATOMIC_POSITIONS angstrom
Ca 0.000 0.000 0.000
Ir 0.000 0.000 7.514
N 0.000 0.000 3.470
N 0.000 0.000 11.558
CELL_PARAMETERS angstrom
1.649 0.952 5.009
-1.649 0.952 5.009
0.000 -1.904 5.009
```

---

# 14
Entry from Materials Project: crystalline Ca2SnIrO6 at its relaxed geometry (PBE). Values from VASP.

Results
The value obtained for the formation energy is -2331.8 meV per atom. The total magnetization comes out at 0.9 μB per formula unit. Its MP2020-corrected energy is -0.2567 Ha/atom.

```
&SYSTEM
  ibrav = 0, nat = 20, ntyp = 4
/
ATOMIC_SPECIES
Ca 40.08 Ca.upf
Sn 118.71 Sn.upf
Ir 192.22 Ir.upf
O 16.00 O.upf
ATOMIC_POSITIONS angstrom
Ca -0.067 0.330 1.975
Ca -2.787 2.520 5.923
Ca 2.853 3.179 1.973
Ca 0.133 5.370 5.921
Sn 2.753 0.000 0.000
Sn 0.033 2.850 3.948
Ir -2.720 0.000 3.948
Ir 0.000 2.850 0.000
O -4.395 1.146 7.460
O -1.676 1.704 3.512
O -3.786 3.967 7.466
O -1.067 4.582 3.518
O -2.123 0.215 5.886
O 0.597 2.635 1.938
O -0.531 3.065 5.957
O 2.189 5.484 2.009
O 1.133 1.117 4.377
O 3.852 1.733 0.430
O 1.742 3.995 4.383
O 4.461 4.553 0.436
CELL_PARAMETERS angstrom
5.505 0.000 0.000
0.000 5.699 0.000
-5.439 0.000 7.896
```